# 1
CsU2F9 | PBE | relaxed

Values from the calculation:
- E (MP2020) (eV/atom) = -7.189
- energy above the lowest structure with this stoichiometry (meV per atom) = 2
- ΔE_f (eV/atom) = -3.797
- crystal system = triclinic
- energy (eV per atom) = -6.84

a b c (Å): 7.1725 8.3865 8.7263
angles (deg): 115.97 90.00 114.36
Closest atoms and distances in Å follow each position.
Sites, in units of the cell vectors:
F 0.3383 0.3215 0.9270  2 U 2.28-2.35
F 0.9859 0.3218 0.4285  2 U 2.27-2.35
F 0.5409 0.6699 0.7834  2 U 2.32-2.41, 1 F 2.52
F 0.0277 0.6787 0.5767  2 U 2.28-2.44
F 0.3658 0.6295 0.4878  2 U 2.33-2.39
F 0.7406 0.3779 0.0142  2 U 2.29-2.37
F 0.8956 0.3342 0.7209  2 U 2.24-2.39
F 0.9461 0.6875 0.8645  2 U 2.35-2.50, 2 F 2.52-2.56
F 0.7333 0.6883 0.3661  2 U 2.34-2.49, 2 F 2.53-2.56
F 0.1224 0.6702 0.2835  2 U 2.33-2.41, 1 F 2.52
F 0.4430 0.3329 0.2194  2 U 2.25-2.39
F 0.6454 0.6765 0.0761  2 U 2.28-2.43
F 0.6417 0.3804 0.5151  2 U 2.29-2.36
F 0.2606 0.6342 0.9897  2 U 2.34-2.40
F 0.0557 0.3122 0.1323  2 U 2.23-2.48
F 0.6415 0.1046 0.1563  1 U 2.10
F 0.2617 0.3112 0.6305  2 U 2.23-2.48
F 0.4784 0.1032 0.6547  1 U 2.10
Cs 0.8782 0.9925 0.7507  6 F 2.92-3.10
Cs 0.1078 0.9918 0.2449  6 F 2.90-3.09
U 0.3763 0.5634 0.2000  8 F 2.23-2.49
U 0.8043 0.4171 0.2889  3 F 2.10-2.34
U 0.1846 0.5631 0.6999  8 F 2.23-2.50
U 0.6133 0.4158 0.7881  2 F 2.10-2.29


# 2
CsU2F9 | PBE | relaxed

Values from the calculation:
- E (MP2020) (eV/atom) = -7.191
- energy above the lowest structure with this stoichiometry (meV per atom) = 0
- ΔE_f (eV/atom) = -3.799
- crystal system = monoclinic
- energy (eV per atom) = -6.84

a b c (Å): 8.6238 8.6238 8.7496
angles (deg): 64.67 64.67 48.75
Closest atoms and distances in Å follow each position.
Sites, in units of the cell vectors:
Cs 0.8888 0.1052 0.7518  6 F 2.99-3.13
Cs 0.1052 0.8888 0.2518  6 F 2.99-3.13
F 0.6485 0.0207 0.4279  2 U 2.30-2.42, 2 F 2.56-2.57
F 0.5462 0.1188 0.7236  2 U 2.33-2.44, 1 F 2.53
F 0.1188 0.5462 0.2236  2 U 2.33-2.44, 1 F 2.53
F 0.7274 0.9544 0.1368  2 U 2.38-2.45, 2 F 2.54-2.56
F 0.2669 0.3644 0.5139  2 U 2.32-2.41
F 0.4378 0.8986 0.2759  2 U 2.25-2.39
F 0.2631 0.0543 0.8663  2 U 2.23-2.47
F 0.0207 0.6485 0.9279  2 U 2.30-2.42, 2 F 2.56-2.57
F 0.0543 0.2631 0.3663  2 U 2.23-2.47
F 0.6400 0.7356 0.9852  2 U 2.30-2.36
F 0.7356 0.6400 0.4852  2 U 2.30-2.36
F 0.6402 0.4735 0.3383  1 U 2.10
F 0.8986 0.4378 0.7759  2 U 2.25-2.39
F 0.9544 0.7274 0.6368  2 U 2.38-2.45, 2 F 2.54-2.56
F 0.4735 0.6402 0.8383  1 U 2.10
F 0.3365 0.9913 0.5697  2 U 2.27-2.36
F 0.3644 0.2669 0.0139  2 U 2.32-2.41
F 0.9913 0.3365 0.0697  2 U 2.27-2.36
U 0.3752 0.1858 0.3006  8 F 2.23-2.45
U 0.1858 0.3752 0.8006  8 F 2.23-2.45
U 0.8012 0.6150 0.2103  2 F 2.10-2.30
U 0.6150 0.8012 0.7103  2 F 2.10-2.30


# 3
CsUF6 | PBE | relaxed

Values from the calculation:
- E (MP2020) (eV/atom) = -6.758
- ΔE_f (eV/atom) = -3.799
- crystal system = trigonal
- energy (eV per atom) = -6.41

a b c (Å): 5.5679 5.5679 5.5679
angles (deg): 95.71 95.71 95.71
Closest atoms and distances in Å follow each position.
Sites, in units of the cell vectors:
F 0.2021 0.9189 0.3129  1 U 2.09
F 0.9189 0.3129 0.2021  1 U 2.09
F 0.6871 0.7979 0.0811  1 U 2.09
F 0.0811 0.6871 0.7979  1 U 2.09
F 0.3129 0.2021 0.9189  1 U 2.09
F 0.7979 0.0811 0.6871  1 U 2.09
Cs 0.5000 0.5000 0.5000  12 F 3.19-3.50
U 0.0000 0.0000 0.0000  6 F 2.09


# 4
CsU6F25 | PBE | relaxed

Values from the calculation:
- E (MP2020) (eV/atom) = -7.556
- ΔE_f (eV/atom) = -3.915
- magnetic moment (Bohr magnetons per cell) = 24.0
- crystal system = hexagonal
- energy (eV per atom) = -7.20

a b c (Å): 8.2200 8.2200 16.6778
angles (deg): 90.00 90.00 120.00
Closest atoms and distances in Å follow each position.
Sites, in units of the cell vectors:
U 0.3331 0.1666 0.6124  9 F 2.29-2.50
U 0.1666 0.3331 0.3876  9 F 2.29-2.50
U 0.8334 0.1666 0.8876  9 F 2.29-2.50
U 0.8334 0.6669 0.8876  9 F 2.29-2.50
U 0.1666 0.3331 0.1124  9 F 2.29-2.50
U 0.1666 0.8334 0.3876  9 F 2.29-2.50
U 0.1666 0.8334 0.1124  9 F 2.29-2.50
U 0.6669 0.8334 0.1124  9 F 2.29-2.50
U 0.8334 0.1666 0.6124  9 F 2.29-2.50
U 0.3331 0.1666 0.8876  9 F 2.29-2.50
U 0.6669 0.8334 0.3876  9 F 2.29-2.50
U 0.8334 0.6669 0.6124  9 F 2.29-2.50
F 0.6667 0.3333 0.9345  3 F 2.49, 3 U 2.50
F 0.6793 0.6793 0.5000  2 U 2.29
F 0.9648 0.4824 0.8559  2 U 2.32, 1 F 2.49
F 0.1379 0.8621 0.8413  2 U 2.33, 1 F 2.43
F 0.0000 0.3207 0.5000  2 U 2.29
F 0.1379 0.2758 0.8413  2 U 2.33, 1 F 2.43
F 0.3333 0.6667 0.4345  3 F 2.49, 3 U 2.50
F 0.3207 0.0000 0.5000  2 U 2.29
F 0.7242 0.8621 0.6587  2 U 2.33, 1 F 2.43
F 0.6321 0.8161 0.2500  2 U 2.31
F 0.6667 0.3333 0.5655  3 F 2.49, 3 U 2.50
F 0.6793 0.0000 0.0000  2 U 2.29
F 0.8621 0.1379 0.1587  2 U 2.33, 1 F 2.43
F 0.4824 0.9648 0.1441  2 U 2.32, 1 F 2.49
F 0.0000 0.0000 0.0724  4 F 2.41-2.43, 3 U 2.46
F 0.5176 0.0352 0.8559  2 U 2.32, 1 F 2.49
F 0.3333 0.6667 0.0655  3 F 2.49, 3 U 2.50
F 0.8161 0.6321 0.7500  2 U 2.31
F 0.5176 0.4824 0.8559  2 U 2.32, 1 F 2.49
F 0.0000 0.0000 0.9276  4 F 2.41-2.43, 3 U 2.46
F 0.5176 0.4824 0.6441  2 U 2.32, 1 F 2.49
F 0.4824 0.9648 0.3559  2 U 2.32, 1 F 2.49
F 0.3207 0.3207 0.5000  2 U 2.29
F 0.8161 0.1839 0.7500  2 U 2.31
F 0.0000 0.0000 0.4276  4 F 2.41-2.43, 3 U 2.46
F 0.0000 0.6793 0.5000  2 U 2.29
F 0.6793 0.0000 0.5000  2 U 2.29
F 0.3207 0.3207 0.0000  2 U 2.29
F 0.3679 0.1839 0.7500  2 U 2.31
F 0.1839 0.8161 0.2500  2 U 2.31
F 0.6793 0.6793 0.0000  2 U 2.29
F 0.1839 0.3679 0.2500  2 U 2.31
F 0.0352 0.5176 0.1441  2 U 2.32, 1 F 2.49
F 0.2758 0.1379 0.1587  2 U 2.33, 1 F 2.43
F 0.4824 0.5176 0.3559  2 U 2.32, 1 F 2.49
F 0.7242 0.8621 0.8413  2 U 2.33, 1 F 2.43
F 0.0000 0.6793 0.0000  2 U 2.29
F 0.9648 0.4824 0.6441  2 U 2.32, 1 F 2.49
F 0.1379 0.2758 0.6587  2 U 2.33, 1 F 2.43
F 0.1379 0.8621 0.6587  2 U 2.33, 1 F 2.43
F 0.8621 0.1379 0.3413  2 U 2.33, 1 F 2.43
F 0.3207 0.0000 0.0000  2 U 2.29
F 0.0352 0.5176 0.3559  2 U 2.32, 1 F 2.49
F 0.5176 0.0352 0.6441  2 U 2.32, 1 F 2.49
F 0.8621 0.7242 0.3413  2 U 2.33, 1 F 2.43
F 0.0000 0.3207 0.0000  2 U 2.29
F 0.0000 0.0000 0.5724  4 F 2.41-2.43, 3 U 2.46
F 0.2758 0.1379 0.3413  2 U 2.33, 1 F 2.43
F 0.8621 0.7242 0.1587  2 U 2.33, 1 F 2.43
F 0.4824 0.5176 0.1441  2 U 2.32, 1 F 2.49
Cs 0.3333 0.6667 0.7500  12 F 3.16-3.17
Cs 0.6667 0.3333 0.2500  12 F 3.16-3.17


# 5
Cs2UF7 | PBE | relaxed

Values from the calculation:
- E (MP2020) (eV/atom) = -6.234
- ΔE_f (eV/atom) = -3.586
- magnetic moment (Bohr magnetons per cell) = 4.2
- crystal system = monoclinic
- energy (eV per atom) = -5.91

a b c (Å): 14.3477 6.8927 10.2023
angles (deg): 87.75 90.00 90.00
Closest atoms and distances in Å follow each position.
Sites, in units of the cell vectors:
F 0.5615 0.4462 0.6266  1 U 2.09
F 0.4913 0.1434 0.3270  1 U 2.09
F 0.7111 0.9389 0.7233  1 U 2.09
F 0.1116 0.8944 0.5123  3 Cs 2.65-2.78
F 0.1578 0.2397 0.0167  1 U 2.09
F 0.6090 0.6065 0.8776  1 U 2.09
F 0.2889 0.0611 0.2767  1 U 2.09
F 0.3422 0.2397 0.5167  1 U 2.09
F 0.3910 0.3935 0.1224  1 U 2.09
F 0.6116 0.1056 0.9877  3 Cs 2.65-2.78
F 0.3884 0.8944 0.0123  3 Cs 2.65-2.78
F 0.9385 0.4462 0.1266  1 U 2.09
F 0.5087 0.8566 0.6730  1 U 2.09
F 0.7467 0.5238 0.1887  1 U 2.11
F 0.1090 0.3935 0.6224  1 U 2.09
F 0.0615 0.5538 0.8734  1 U 2.09
F 0.9913 0.8566 0.1730  1 U 2.09
F 0.7889 0.9389 0.2233  1 U 2.09
F 0.8884 0.1056 0.4877  3 Cs 2.65-2.78
F 0.4385 0.5538 0.3734  1 U 2.09
F 0.2533 0.4762 0.8113  1 U 2.11
F 0.2111 0.0611 0.7767  1 U 2.09
F 0.8910 0.6065 0.3776  1 U 2.09
F 0.0087 0.1434 0.8270  1 U 2.09
F 0.8422 0.7603 0.9833  1 U 2.09
F 0.2467 0.4762 0.3113  1 U 2.11
F 0.7533 0.5238 0.6887  1 U 2.11
F 0.6578 0.7603 0.4833  1 U 2.09
Cs 0.7847 0.2221 0.9375  1 F 2.65
Cs 0.2847 0.7779 0.5625  1 F 2.65
Cs 0.7153 0.2221 0.4375  1 F 2.65
Cs 0.4478 0.2096 0.8574  2 F 2.77-2.78
Cs 0.9478 0.7904 0.6426  2 F 2.77-2.78
Cs 0.5522 0.7904 0.1426  2 F 2.77-2.78
Cs 0.0522 0.2096 0.3574  2 F 2.77-2.78
Cs 0.2153 0.7779 0.0625  1 F 2.65
U 0.1317 0.3050 0.8178  6 F 2.09-2.11
U 0.6317 0.6950 0.6822  6 F 2.09-2.11
U 0.8683 0.6950 0.1822  6 F 2.09-2.11
U 0.3683 0.3050 0.3178  6 F 2.09-2.11


# 6
Cs3YF6 | PBE | relaxed

Values from the calculation:
- E (MP2020) (eV/atom) = -5.598
- ΔE_f (eV/atom) = -3.534
- crystal system = cubic
- energy (eV per atom) = -5.32

a b c (Å): 7.1295 7.1295 7.1295
angles (deg): 60.00 60.00 60.00
Closest atoms and distances in Å follow each position.
Sites, in units of the cell vectors:
F 0.2175 0.7825 0.2175  1 Y 2.19
F 0.2175 0.7825 0.7825  1 Y 2.19
F 0.7825 0.2175 0.7825  1 Y 2.19
F 0.7825 0.7825 0.2175  1 Y 2.19
F 0.7825 0.2175 0.2175  1 Y 2.19
F 0.2175 0.2175 0.7825  1 Y 2.19
Cs 0.7500 0.7500 0.7500  12 F 3.58
Cs 0.2500 0.2500 0.2500  12 F 3.58
Cs 0.5000 0.5000 0.5000  6 F 2.85
Y 0.0000 0.0000 0.0000  6 F 2.19


# 7
Cs3YF6 | PBE | relaxed

Values from the calculation:
- E (MP2020) (eV/atom) = -5.564
- ΔE_f (eV/atom) = -3.500
- magnetic moment (Bohr magnetons per cell) = 0.0
- crystal system = tetragonal
- energy (eV per atom) = -5.29

a b c (Å): 7.2320 7.2320 7.2320
angles (deg): 119.33 119.33 91.16
Closest atoms and distances in Å follow each position.
Sites, in units of the cell vectors:
Cs 0.2500 0.7500 0.5000  4 F 2.93
Cs 0.5000 0.5000 0.0000  2 F 2.83
Cs 0.7500 0.2500 0.5000  4 F 2.93
F 0.2989 0.0000 0.2989  1 Y 2.18
F 0.0000 0.7011 0.7011  1 Y 2.18
F 0.2209 0.2209 0.0000  1 Y 2.24
F 0.7011 0.0000 0.7011  1 Y 2.18
F 0.7791 0.7791 0.0000  1 Y 2.24
F 0.0000 0.2989 0.2989  1 Y 2.18
Y 0.0000 0.0000 0.0000  6 F 2.18-2.24


# 8
Cs4Zn3F10 | PBE | relaxed

Values from the calculation:
- E (MP2020) (eV/atom) = -4.365
- ΔE_f (eV/atom) = -2.806
- crystal system = orthorhombic
- energy (eV per atom) = -4.09

a b c (Å): 8.0110 8.0110 14.1410
angles (deg): 90.00 90.00 133.48
Closest atoms and distances in Å follow each position.
Sites, in units of the cell vectors:
F 0.4746 0.5254 0.6448  2 Zn 2.08-2.16
F 0.1141 0.3139 0.0377  2 Zn 2.07-2.17
F 0.6861 0.8859 0.0377  2 Zn 2.07-2.17
F 0.5254 0.4746 0.3552  2 Zn 2.08-2.16
F 0.2542 0.7458 0.8496  1 Zn 1.96
F 0.3139 0.1141 0.9623  2 Zn 2.07-2.17
F 0.8620 0.6380 0.7500  2 Zn 2.07
F 0.7458 0.2542 0.1504  1 Zn 1.96
F 0.1380 0.3620 0.2500  2 Zn 2.07
F 0.8859 0.6861 0.9623  2 Zn 2.07-2.17
F 0.6141 0.8139 0.4623  2 Zn 2.07-2.17
F 0.1861 0.3859 0.4623  2 Zn 2.07-2.17
F 0.3620 0.1380 0.7500  2 Zn 2.07
F 0.9746 0.0254 0.8552  2 Zn 2.08-2.16
F 0.6380 0.8620 0.2500  2 Zn 2.07
F 0.7542 0.2458 0.6504  1 Zn 1.96
F 0.3859 0.1861 0.5377  2 Zn 2.07-2.17
F 0.8139 0.6141 0.5377  2 Zn 2.07-2.17
F 0.2458 0.7542 0.3496  1 Zn 1.96
F 0.0254 0.9746 0.1448  2 Zn 2.08-2.16
Cs 0.5442 0.4558 0.1388  10 F 2.97-3.20
Cs 0.7552 0.2448 0.8900  10 F 3.09-3.39
Cs 0.9558 0.0442 0.6388  10 F 2.97-3.20
Cs 0.0442 0.9558 0.3612  10 F 2.97-3.20
Cs 0.2552 0.7448 0.6100  10 F 3.09-3.39
Cs 0.4558 0.5442 0.8612  10 F 2.97-3.20
Cs 0.2448 0.7552 0.1100  10 F 3.09-3.39
Cs 0.7448 0.2552 0.3900  10 F 3.09-3.39
Zn 0.3790 0.6210 0.3443  6 F 1.96-2.17
Zn 0.6210 0.3790 0.6557  6 F 1.96-2.17
Zn 0.0000 0.0000 0.0000  6 F 2.07-2.08
Zn 0.5000 0.5000 0.5000  6 F 2.07-2.08
Zn 0.1210 0.8790 0.8443  6 F 1.96-2.17
Zn 0.8790 0.1210 0.1557  6 F 1.96-2.17